Li9Mn7O16 after structural relaxation, computed with PBE with a Hubbard U.

POSCAR file:
```
Li9Mn7O16
1.0
5.351 0.000 0.000
-0.570 6.496 0.000
-0.566 -1.162 8.592
Mn Li O
7 9 16
direct
0.500 0.748 0.754 Mn
0.000 0.376 0.124 Mn
0.999 0.874 0.625 Mn
0.500 0.252 0.246 Mn
0.000 0.624 0.876 Mn
0.001 0.126 0.375 Mn
0.500 0.000 0.500 Mn
0.757 0.940 0.066 Li
0.255 0.800 0.181 Li
0.500 0.500 0.000 Li
0.750 0.440 0.565 Li
0.243 0.060 0.934 Li
0.250 0.560 0.435 Li
0.753 0.691 0.312 Li
0.745 0.200 0.819 Li
0.247 0.309 0.688 Li
0.103 0.355 0.913 O
0.659 0.237 0.051 O
0.604 0.975 0.285 O
0.341 0.763 0.949 O
0.897 0.645 0.087 O
0.104 0.854 0.412 O
0.109 0.602 0.664 O
0.605 0.729 0.536 O
0.396 0.025 0.715 O
0.891 0.398 0.336 O
0.395 0.271 0.464 O
0.108 0.107 0.161 O
0.892 0.893 0.839 O
0.896 0.146 0.588 O
0.660 0.499 0.791 O
0.340 0.501 0.209 O
```

The space-group type is P-1. The energy of formation from the pure elements is -2145 meV per atom. The value obtained for the uncorrected energy is -6.4513 eV/atom.